1.
Density functional theory data (PBE+U) for crystalline CoH8Se2Cl2O8 at its relaxed geometry.

The structure in CIF format:
```
data_CoH8Se2Cl2O8
_symmetry_space_group_name_H-M 'P 1 21/c 1'
_symmetry_Int_Tables_number 14
_cell_length_a 5.1743
_cell_length_b 14.9706
_cell_length_c 6.5604
_cell_angle_alpha 90.00
_cell_angle_beta 93.15
_cell_angle_gamma 90.00
loop_
_symmetry_equiv_pos_as_xyz
'x,y,z'
'-x,-y,-z'
'-x,y+1/2,-z+1/2'
'x,-y+1/2,z+1/2'
loop_
_atom_site_label
_atom_site_fract_x
_atom_site_fract_y
_atom_site_fract_z
_atom_site_occupancy
Co1 0.0000 0.0000 0.0000 1
H1 0.0834 0.1966 0.2139 1
H2 0.2271 0.5563 0.1523 1
H3 0.2927 0.7304 0.6663 1
H4 0.4231 0.5785 0.3396 1
Se1 0.2929 0.1690 0.7923 1
Cl1 0.2375 0.5582 0.8036 1
O1 0.0464 0.2448 0.3132 1
O2 0.2374 0.1161 0.0145 1
O3 0.2395 0.5676 0.3007 1
O4 0.4654 0.7451 0.6141 1
```

Computed properties:
Distance to the lowest polymorph of the same formula in meV/atom: 0
Crystal system: monoclinic
Mass density in g/cm³: 2.77

2.
Density functional theory data (PBE+U) for crystalline CoH8Se2Cl2O8 at its relaxed geometry.

The structure in CIF format:
```
data_CoH8Se2Cl2O8
_symmetry_space_group_name_H-M 'P 1 21/c 1'
_symmetry_Int_Tables_number 14
_cell_length_a 5.1997
_cell_length_b 18.0690
_cell_length_c 7.2385
_cell_angle_alpha 90.00
_cell_angle_beta 100.41
_cell_angle_gamma 90.00
loop_
_symmetry_equiv_pos_as_xyz
'x,y,z'
'-x,-y,-z'
'-x,y+1/2,-z+1/2'
'x,-y+1/2,z+1/2'
loop_
_atom_site_label
_atom_site_fract_x
_atom_site_fract_y
_atom_site_fract_z
_atom_site_occupancy
Co1 0.0000 0.0000 0.0000 1
H1 0.1376 0.1506 0.7098 1
H2 0.2223 0.1179 0.1352 1
H3 0.2461 0.5418 0.1478 1
H4 0.4707 0.0775 0.0665 1
Se1 0.3504 0.1943 0.6395 1
Cl1 0.4198 0.5850 0.8583 1
O1 0.1061 0.5612 0.2087 1
O2 0.2100 0.2114 0.4182 1
O3 0.2376 0.5667 0.4088 1
O4 0.2709 0.0876 0.0349 1
```

Computed properties:
Distance to the lowest polymorph of the same formula in meV/atom: 376
Crystal system: monoclinic
Mass density in g/cm³: 2.10

3.
Density functional theory data (PBE+U) for crystalline CoH5SeClO5 at its relaxed geometry.

The structure in CIF format:
```
data_CoH5SeClO5
_symmetry_space_group_name_H-M 'P n m a'
_symmetry_Int_Tables_number 62
_cell_length_a 9.4773
_cell_length_b 17.3612
_cell_length_c 7.3848
_cell_angle_alpha 90.00
_cell_angle_beta 90.00
_cell_angle_gamma 90.00
loop_
_symmetry_equiv_pos_as_xyz
'x,y,z'
'-x,-y,-z'
'-x+1/2,-y,z+1/2'
'x+1/2,y,-z+1/2'
'x+1/2,-y+1/2,-z+1/2'
'-x+1/2,y+1/2,z+1/2'
'-x,y+1/2,-z'
'x,-y+1/2,z'
loop_
_atom_site_label
_atom_site_fract_x
_atom_site_fract_y
_atom_site_fract_z
_atom_site_occupancy
Co1 0.0000 0.0000 0.0000 1
Co2 0.1515 0.2500 0.0635 1
H1 0.0457 0.0629 0.3971 1
H2 0.0858 0.2031 0.4018 1
H3 0.1540 0.6655 0.7382 1
H4 0.2015 0.7059 0.2642 1
H5 0.2331 0.6093 0.6027 1
Se1 0.1849 0.0514 0.6579 1
Cl1 0.0245 0.6488 0.0211 1
O1 0.0435 0.5029 0.7291 1
O2 0.0834 0.2500 0.3267 1
O3 0.1067 0.1004 0.4688 1
O4 0.2010 0.6638 0.6201 1
O5 0.2154 0.0181 0.0525 1
O6 0.2378 0.2500 0.7922 1
```

Computed properties:
Crystal system: orthorhombic
Mass density in g/cm³: 2.82

4.
Density functional theory data (PBE+U) for crystalline Sr3MgCo2Cl2O5 at its relaxed geometry.

The structure in CIF format:
```
data_Sr3MgCo2Cl2O5
_symmetry_space_group_name_H-M 'I m m 2'
_symmetry_Int_Tables_number 44
_cell_length_a 3.6150
_cell_length_b 4.4975
_cell_length_c 30.4827
_cell_angle_alpha 90.00
_cell_angle_beta 90.00
_cell_angle_gamma 90.00
loop_
_symmetry_equiv_pos_as_xyz
'x,y,z'
'-x,-y,z'
'-x,y,z'
'x,-y,z'
'x+1/2,y+1/2,z+1/2'
'-x+1/2,-y+1/2,z+1/2'
'-x+1/2,y+1/2,z+1/2'
'x+1/2,-y+1/2,z+1/2'
loop_
_atom_site_label
_atom_site_fract_x
_atom_site_fract_y
_atom_site_fract_z
_atom_site_occupancy
Sr1 0.0000 0.0000 0.0000 1
Sr2 0.0000 0.0000 0.1163 1
Sr3 0.0000 0.0000 0.2326 1
Mg1 0.0000 0.5000 0.8615 1
Co1 0.0000 0.0000 0.5535 1
Co2 0.0000 0.0000 0.6790 1
Cl1 0.0000 0.0000 0.4154 1
Cl2 0.0000 0.0000 0.8279 1
O1 0.0000 0.0000 0.6162 1
O2 0.0000 0.5000 0.0240 1
O3 0.0000 0.5000 0.2082 1
O4 0.0000 0.5000 0.5507 1
O5 0.0000 0.5000 0.6816 1
```

Computed properties:
Distance to the lowest polymorph of the same formula in meV/atom: 83
Crystal system: orthorhombic
Mass density in g/cm³: 3.73

5.
Density functional theory data (PBE+U) for crystalline Sr3MgCo2Cl2O5 at its relaxed geometry.

The structure in CIF format:
```
data_Sr3MgCo2Cl2O5
_symmetry_space_group_name_H-M 'I m m 2'
_symmetry_Int_Tables_number 44
_cell_length_a 3.8821
_cell_length_b 4.1144
_cell_length_c 28.4747
_cell_angle_alpha 90.00
_cell_angle_beta 90.00
_cell_angle_gamma 90.00
loop_
_symmetry_equiv_pos_as_xyz
'x,y,z'
'-x,-y,z'
'-x,y,z'
'x,-y,z'
'x+1/2,y+1/2,z+1/2'
'-x+1/2,-y+1/2,z+1/2'
'-x+1/2,y+1/2,z+1/2'
'x+1/2,-y+1/2,z+1/2'
loop_
_atom_site_label
_atom_site_fract_x
_atom_site_fract_y
_atom_site_fract_z
_atom_site_occupancy
Sr1 0.0000 0.0000 0.0000 1
Sr2 0.0000 0.0000 0.1178 1
Sr3 0.0000 0.0000 0.3367 1
Mg1 0.0000 0.5000 0.2105 1
Co1 0.0000 0.0000 0.5591 1
Co2 0.0000 0.0000 0.7808 1
Cl1 0.0000 0.0000 0.4683 1
Cl2 0.0000 0.0000 0.8900 1
O1 0.0000 0.0000 0.6769 1
O2 0.0000 0.5000 0.0679 1
O3 0.0000 0.5000 0.2786 1
O4 0.0000 0.5000 0.5610 1
O5 0.0000 0.5000 0.7879 1
```

Computed properties:
Distance to the lowest polymorph of the same formula in meV/atom: 0
Crystal system: orthorhombic
Mass density in g/cm³: 4.06

6.
Density functional theory data (PBE+U) for crystalline Co2ClO3 at its relaxed geometry.

The structure in CIF format:
```
data_Co2ClO3
_symmetry_space_group_name_H-M 'R -3 m'
_symmetry_Int_Tables_number 166
_symmetry_space_group_name_Hall '-R 3 2"'
_cell_length_a 6.4847
_cell_length_b 6.4847
_cell_length_c 13.1006
_cell_angle_alpha 90.00
_cell_angle_beta 90.00
_cell_angle_gamma 120.00
loop_
_atom_site_label
_atom_site_fract_x
_atom_site_fract_y
_atom_site_fract_z
_atom_site_occupancy
Co1 0.0000 0.0000 0.0000 1
Co2 0.0000 0.5000 0.5000 1
Cl1 0.0000 0.0000 0.2896 1
O1 0.0740 0.5370 0.7603 1
```

Computed properties:
Crystal system: trigonal
Mass density in g/cm³: 4.20

What are the energy with MP2020 corrections values for these records? In order: -5.1465 -4.7703 -5.3748 -5.7892 -5.8721 -6.0323 eV per atom.
What are the E values for these records? In order: -4.8068 -4.4306 -4.9846 -5.2729 -5.3558 -5.1428 eV/atom.
What are the energy of formation from the pure elements values for these records? In order: -1.1216 -0.7454 -1.2090 -1.9951 -2.0781 -0.8808 eV per atom.